Li3Mn8O4F12 (GGA+U, relaxed); VASP energy = -172.40 eV/cell; crystal system = triclinic; energy of formation = -2.68 eV per atom; polymorph energy (0 for the lowest one) = 0.000 eV/atom; space group = No. 2
1.0
4.0649 -2.6983 3.8198
-0.1450 6.4196 -0.4080
-9.1405 0.3538 4.9327
Mn F Li O
8 12 3 4
direct
0.5001 0.5000 0.0000
0.4967 0.7435 0.7509
0.5033 0.2564 0.2489
0.9985 0.7407 0.7545
0.9887 0.2476 0.7248
0.0002 0.5000 0.9998
0.0113 0.7526 0.2752
0.0019 0.2594 0.2455
0.2454 0.6043 0.3643
0.2606 0.8874 0.6412
0.7321 0.6099 0.3717
0.7393 0.1126 0.3588
0.2030 0.0968 0.8655
0.7968 0.9031 0.1345
0.7687 0.1118 0.8656
0.2312 0.8882 0.1344
0.7544 0.3957 0.6357
0.2678 0.3900 0.6282
0.2473 0.1230 0.3768
0.7527 0.8770 0.6233
0.3858 0.1974 0.5783
0.6141 0.8026 0.4218
0.9999 0.0000 0.0000
0.7503 0.6396 0.8922
0.7585 0.4179 0.1284
0.2418 0.5820 0.8717
0.2497 0.3603 0.1079

LiMn2OF3 (GGA+U, relaxed); VASP energy = -176.37 eV/cell; crystal system = triclinic; energy of formation = -2.65 eV per atom; polymorph energy (0 for the lowest one) = 0.034 eV/atom; space group = No. 1
1.0
-4.4487 0.5678 4.3906
-4.1373 -2.7516 -3.8380
2.2812 -8.0223 3.3326
F Mn Li O
12 8 4 4
direct
0.2552 0.5179 0.4929
0.4973 0.7378 0.2630
0.9919 0.7369 0.7432
0.5029 0.2615 0.7629
0.2619 0.4969 0.0130
0.4826 0.2558 0.2432
0.5185 0.7447 0.7430
0.7374 0.0083 0.9936
0.7442 0.4821 0.9930
0.7378 0.5029 0.5131
0.2614 0.9903 0.4920
0.0089 0.2612 0.2419
0.9837 0.7504 0.4832
0.2257 0.2577 0.6347
0.7509 0.0150 0.7338
0.7433 0.2257 0.3853
0.2517 0.9856 0.2329
0.7754 0.7421 0.1358
0.0135 0.2510 0.9838
0.2583 0.7748 0.8856
0.5094 0.7487 0.4998
0.7487 0.4901 0.7496
0.2517 0.5108 0.2498
0.4892 0.2514 0.9995
0.7434 0.9672 0.5078
0.9671 0.2559 0.7576
0.0332 0.7443 0.2582
0.2552 0.0330 0.0078

Li5MnO3F (GGA+U, relaxed); VASP energy = -212.91 eV/cell; energy of formation = -2.20 eV per atom; polymorph energy (0 for the lowest one) = 0.000 eV/atom
1.0
0.0114 -0.0050 4.7343
-0.0167 9.4618 -0.0014
-9.4747 -0.0041 -0.0105
O F Mn Li
12 4 4 20
direct
0.6878 0.3425 0.8643
0.6878 0.8425 0.3643
0.7423 0.1176 0.6254
0.8125 0.8399 0.8680
0.7570 0.6002 0.6431
0.2792 0.1092 0.3669
0.2224 0.8410 0.1332
0.7570 0.1002 0.1431
0.2792 0.6093 0.8668
0.7421 0.6177 0.1253
0.2224 0.3411 0.6332
0.8128 0.3399 0.3680
0.2175 0.1088 0.8628
0.2789 0.3411 0.1376
0.2789 0.8412 0.6376
0.2174 0.6089 0.3627
0.5182 0.4849 0.0017
0.9811 0.9759 0.0119
0.9814 0.4761 0.5118
0.5181 0.9848 0.5019
0.9805 0.9770 0.2996
0.0177 0.6995 0.9980
0.4666 0.7138 0.2412
0.9552 0.4718 0.2237
0.4808 0.4727 0.7248
0.5430 0.2335 0.2586
0.9806 0.4770 0.7995
0.4808 0.9727 0.2249
0.9564 0.2351 0.7567
0.9553 0.9719 0.7239
0.5539 0.6949 0.4932
0.0323 0.7182 0.7400
0.5430 0.7335 0.7585
0.9564 0.7351 0.2566
0.0177 0.1996 0.4980
0.0324 0.2182 0.2400
0.5539 0.1948 0.9932
0.5164 0.7720 0.9994
0.5165 0.2721 0.4995
0.4665 0.2138 0.7412

Li2MnO2F (GGA+U, relaxed); VASP energy = -142.80 eV/cell; energy of formation = -2.40 eV per atom; piezoelectric modulus e_max = 1.3 C/m²; polymorph energy (0 for the lowest one) = 0.085 eV/atom
1.0
3.1727 -3.0865 2.6192
2.0824 3.3941 3.4116
-5.2296 -0.4487 6.8950
Li O Mn F
8 8 4 4
direct
0.8729 0.2024 0.2890
0.9118 0.8639 0.6276
0.3730 0.7024 0.7890
0.6384 0.1113 0.8761
0.1384 0.6114 0.3761
0.4119 0.3639 0.1276
0.1139 0.2984 0.6984
0.6140 0.7985 0.1983
0.7609 0.5063 0.7385
0.7938 0.1935 0.0600
0.4916 0.3693 0.3561
0.9800 0.2463 0.5039
0.2937 0.6936 0.5600
0.9915 0.8692 0.8561
0.2609 0.0063 0.2385
0.4801 0.7461 0.0039
0.8503 0.5456 0.9452
0.3503 0.0458 0.4452
0.1380 0.9540 0.0396
0.6381 0.4541 0.5396
0.7687 0.8289 0.4006
0.9807 0.5768 0.1639
0.2687 0.3289 0.9006
0.4808 0.0767 0.6639

Li2MnO2F (GGA+U, relaxed); VASP energy = -144.15 eV/cell; crystal system = orthorhombic; energy of formation = -2.46 eV per atom; polymorph energy (0 for the lowest one) = 0.029 eV/atom; space group = No. 62
1.0
-3.6514 -4.2467 -1.0149
5.4011 -3.1941 -6.0641
2.0784 -2.5496 3.1940
F Mn Li O
4 4 8 8
direct
0.1233 0.7500 0.2501
0.6233 0.7500 0.2500
0.3767 0.2500 0.7500
0.8767 0.2500 0.7499
0.8768 0.2499 0.2494
0.3768 0.2500 0.2509
0.1231 0.7500 0.7507
0.6231 0.7501 0.7492
0.6258 0.0730 0.7610
0.8743 0.5730 0.2610
0.8743 0.9270 0.2609
0.1257 0.0730 0.7390
0.1257 0.4270 0.7390
0.3743 0.5729 0.2390
0.6258 0.4271 0.7610
0.3743 0.9270 0.2389
0.3732 0.5981 0.7537
0.1268 0.4019 0.2538
0.6268 0.4019 0.2463
0.8732 0.9021 0.7462
0.3732 0.9021 0.7538
0.6267 0.0979 0.2464
0.1268 0.0979 0.2537
0.8732 0.5981 0.7462

LiMnOF2 (GGA+U, relaxed); VASP energy = -236.61 eV/cell; crystal system = orthorhombic; energy of formation = -2.60 eV per atom; polymorph energy (0 for the lowest one) = 0.073 eV/atom; space group = No. 29
1.0
5.6276 0.0000 0.0000
0.0000 9.0038 0.0000
0.0000 0.0000 10.0006
O Mn F Li
8 8 16 8
direct
0.9533 0.9797 0.6636
0.3997 0.8283 0.6551
0.9533 0.4797 0.3364
0.8997 0.1717 0.3449
0.8997 0.6717 0.6551
0.4533 0.0203 0.3364
0.3997 0.3283 0.3449
0.4533 0.5203 0.6636
0.7495 0.3403 0.2646
0.2546 0.0033 0.7374
0.2495 0.1597 0.2646
0.7495 0.8403 0.7354
0.2495 0.6597 0.7354
0.7546 0.9967 0.2626
0.7546 0.4967 0.7374
0.2546 0.5033 0.2626
0.7761 0.8254 0.3983
0.6093 0.1907 0.1255
0.7011 0.8466 0.1196
0.5793 0.5059 0.1699
0.0793 0.4941 0.8301
0.2011 0.1534 0.8804
0.6093 0.6907 0.8745
0.2011 0.6534 0.1196
0.5793 0.0059 0.8301
0.1093 0.8093 0.8745
0.7011 0.3466 0.8804
0.2761 0.1746 0.6017
0.0793 0.9941 0.1699
0.1093 0.3093 0.1255
0.7761 0.3254 0.6017
0.2761 0.6746 0.3983
0.4475 0.8377 0.4520
0.5296 0.1824 0.9393
0.5296 0.6824 0.0607
0.0296 0.3176 0.9393
0.9475 0.1623 0.5480
0.0296 0.8176 0.0607
0.9475 0.6623 0.4520
0.4475 0.3377 0.5480

LiMn2OF3 (GGA+U, relaxed); VASP energy = -177.09 eV/cell; energy of formation = -2.68 eV per atom; polymorph energy (0 for the lowest one) = 0.009 eV/atom
1.0
-1.2351 -2.5771 -5.5683
7.1823 -2.4938 3.0796
-4.2996 -6.9495 0.6522
O F Mn Li
4 12 8 4
direct
0.6680 0.3333 0.9996
0.3345 0.1668 0.5003
0.6677 0.8330 0.4997
0.3343 0.6670 0.0004
0.3458 0.4797 0.3063
0.8264 0.9778 0.8049
0.1721 0.7797 0.4338
0.8264 0.7203 0.0661
0.1732 0.2797 0.9334
0.6526 0.0217 0.1950
0.1723 0.0204 0.1936
0.6536 0.5222 0.6950
0.8260 0.4781 0.3050
0.1732 0.5206 0.6931
0.8273 0.2203 0.5664
0.3457 0.9793 0.8070
0.5005 0.9987 0.5001
0.5009 0.4991 0.9998
0.0018 0.5012 0.0003
0.4989 0.2500 0.2500
0.9995 0.4999 0.5001
0.9994 0.0001 0.0000
0.4989 0.7498 0.7501
0.0018 0.0011 0.5000
0.3329 0.8442 0.1779
0.3332 0.3443 0.6777
0.6666 0.6558 0.3221
0.6667 0.1556 0.8223

LiMn2OF3 (GGA+U, relaxed); VASP energy = -176.36 eV/cell; crystal system = monoclinic; energy of formation = -2.65 eV per atom; polymorph energy (0 for the lowest one) = 0.035 eV/atom; space group = No. 14
1.0
-0.0306 -4.4167 -4.4160
0.0002 4.5119 -4.5112
9.0943 0.0312 0.0308
Li Mn O F
4 8 4 12
direct
0.5007 0.5354 0.5212
0.0009 0.9645 0.0212
0.4992 0.0354 0.2290
0.9992 0.4645 0.7288
0.7500 0.5002 0.1251
0.9998 0.7566 0.3588
0.7498 0.0001 0.6252
0.5006 0.2434 0.8912
0.5000 0.7436 0.8590
0.0002 0.2563 0.3908
0.2498 0.0001 0.6251
0.2502 0.5003 0.1246
0.9992 0.7033 0.1385
0.4991 0.7968 0.6388
0.5009 0.2968 0.1113
0.0007 0.2031 0.6112
0.5005 0.2639 0.6500
0.2448 0.5016 0.3801
0.4993 0.7639 0.1002
0.0007 0.2361 0.1498
0.2552 0.4984 0.8700
0.2461 0.0004 0.3682
0.7551 0.0015 0.3699
0.7450 0.9982 0.8803
0.7462 0.4994 0.8683
0.9992 0.7361 0.6002
0.7538 0.5004 0.3817
0.2539 0.9995 0.8818